(1)
Computed, not measured: an optimized crystal structure of Li3Fe2P3O12 at the PBE with a Hubbard U level of DFT.

Summary:
The calculation puts the corrected total energy (MP2020 scheme) at -7.38 eV per atom. The calculation puts the energy above the most stable polymorph in this dataset at 37 meV/atom. The symmetry is No. 13.

a = 8.799 Å, b = 8.472 Å, c = 12.306 Å
α = 87.53°, β = 90.00°, γ = 90.00°
Sites, in units of the cell vectors:
Li 0.192 0.709 0.953
Li 0.808 0.291 0.047
Li 0.403 0.500 0.250
Li 0.097 0.000 0.250
Li 0.808 0.709 0.453
Li 0.597 0.500 0.750
Li 0.192 0.291 0.547
Li 0.500 0.500 0.000
Li 0.000 0.000 0.500
Li 0.903 0.000 0.750
Li 0.000 0.000 0.000
Li 0.500 0.500 0.500
Fe 0.995 0.287 0.357
Fe 0.005 0.713 0.643
Fe 0.995 0.713 0.143
Fe 0.005 0.287 0.857
Fe 0.500 0.790 0.355
Fe 0.500 0.210 0.645
Fe 0.500 0.210 0.145
Fe 0.500 0.790 0.855
P 0.294 0.500 0.750
P 0.706 0.500 0.250
P 0.148 0.649 0.398
P 0.798 0.000 0.250
P 0.643 0.156 0.895
P 0.643 0.844 0.605
P 0.148 0.351 0.102
P 0.852 0.351 0.602
P 0.202 0.000 0.750
P 0.357 0.156 0.395
P 0.852 0.649 0.898
P 0.357 0.844 0.105
O 0.061 0.250 0.019
O 0.895 0.472 0.911
O 0.902 0.277 0.714
O 0.400 0.570 0.837
O 0.703 0.871 0.309
O 0.820 0.140 0.909
O 0.590 0.745 0.508
O 0.908 0.066 0.338
O 0.061 0.750 0.481
O 0.420 0.011 0.106
O 0.410 0.745 0.008
O 0.180 0.860 0.091
O 0.820 0.860 0.591
O 0.806 0.380 0.312
O 0.703 0.129 0.191
O 0.597 0.749 0.710
O 0.400 0.430 0.663
O 0.597 0.251 0.790
O 0.420 0.989 0.394
O 0.323 0.348 0.088
O 0.098 0.277 0.214
O 0.580 0.011 0.606
O 0.600 0.570 0.337
O 0.297 0.129 0.691
O 0.194 0.380 0.812
O 0.105 0.528 0.089
O 0.590 0.255 0.992
O 0.939 0.750 0.981
O 0.098 0.723 0.286
O 0.410 0.255 0.492
O 0.092 0.066 0.838
O 0.180 0.140 0.409
O 0.677 0.348 0.588
O 0.403 0.749 0.210
O 0.403 0.251 0.290
O 0.092 0.934 0.662
O 0.580 0.989 0.894
O 0.600 0.430 0.163
O 0.323 0.652 0.412
O 0.902 0.723 0.786
O 0.806 0.620 0.188
O 0.105 0.472 0.411
O 0.939 0.250 0.519
O 0.194 0.620 0.688
O 0.297 0.871 0.809
O 0.677 0.652 0.912
O 0.895 0.528 0.589
O 0.908 0.934 0.162



(2)
Computed, not measured: an optimized crystal structure of LiFe2P3O12 at the PBE with a Hubbard U level of DFT.

Summary:
The calculation puts the corrected total energy (MP2020 scheme) at -7.50 eV per atom. The calculation puts the energy above the most stable polymorph in this dataset at 1 meV/atom. The symmetry is No. 167.

a = 8.697 Å, b = 8.697 Å, c = 8.697 Å
α = 59.79°, β = 59.79°, γ = 59.79°
Sites, in units of the cell vectors:
Li 0.500 0.500 0.500
Li 0.000 0.000 0.000
Fe 0.357 0.357 0.357
Fe 0.143 0.143 0.143
Fe 0.857 0.857 0.857
Fe 0.643 0.643 0.643
P 0.542 0.958 0.250
P 0.250 0.542 0.958
P 0.750 0.458 0.042
P 0.458 0.042 0.750
P 0.958 0.250 0.542
P 0.042 0.750 0.458
O 0.412 0.561 0.765
O 0.507 0.121 0.301
O 0.301 0.507 0.121
O 0.993 0.199 0.379
O 0.007 0.801 0.621
O 0.879 0.699 0.493
O 0.493 0.879 0.699
O 0.765 0.412 0.561
O 0.735 0.939 0.088
O 0.088 0.735 0.939
O 0.121 0.301 0.507
O 0.379 0.993 0.199
O 0.439 0.235 0.588
O 0.265 0.061 0.912
O 0.061 0.912 0.265
O 0.699 0.493 0.879
O 0.235 0.588 0.439
O 0.939 0.088 0.735
O 0.199 0.379 0.993
O 0.561 0.765 0.412
O 0.621 0.007 0.801
O 0.588 0.439 0.235
O 0.912 0.265 0.061
O 0.801 0.621 0.007



(3)
Computed, not measured: an optimized crystal structure of LiFeP3O9 at the PBE with a Hubbard U level of DFT.

Summary:
The calculation puts the corrected total energy (MP2020 scheme) at -7.61 eV per atom. The calculation puts the energy above the most stable polymorph in this dataset at 32 meV/atom. The symmetry is No. 9.

a = 6.564 Å, b = 6.754 Å, c = 9.806 Å
α = 90.00°, β = 90.08°, γ = 120.96°
Sites, in units of the cell vectors:
Li 0.682 0.481 0.526
Li 0.683 0.202 0.026
Fe 0.327 0.661 0.997
Fe 0.327 0.666 0.497
P 0.038 0.764 0.749
P 0.244 0.969 0.243
P 0.038 0.273 0.249
P 0.244 0.275 0.743
P 0.722 0.959 0.753
P 0.722 0.763 0.252
O 0.074 0.655 0.872
O 0.013 0.651 0.612
O 0.373 0.971 0.116
O 0.330 0.941 0.379
O 0.013 0.363 0.112
O 0.075 0.419 0.372
O 0.329 0.389 0.879
O 0.373 0.402 0.616
O 0.570 0.905 0.628
O 0.621 0.977 0.887
O 0.239 0.206 0.243
O 0.239 0.033 0.743
O 0.621 0.644 0.387
O 0.570 0.665 0.128
O 0.799 0.770 0.774
O 0.967 0.774 0.221
O 0.799 0.029 0.274
O 0.967 0.192 0.721



(4)
Computed, not measured: an optimized crystal structure of Li3Fe2P3O12 at the PBE with a Hubbard U level of DFT.

Summary:
The calculation puts the corrected total energy (MP2020 scheme) at -7.42 eV per atom. The calculation puts the energy above the most stable polymorph in this dataset at 6 meV/atom. The symmetry is No. 14.

a = 8.756 Å, b = 8.503 Å, c = 14.720 Å
α = 55.24°, β = 90.00°, γ = 90.00°
Sites, in units of the cell vectors:
Li 0.990 0.779 0.656
Li 0.010 0.221 0.344
Li 0.585 0.890 0.691
Li 0.281 0.504 0.178
Li 0.781 0.496 0.322
Li 0.085 0.110 0.809
Li 0.510 0.779 0.156
Li 0.490 0.221 0.844
Li 0.915 0.890 0.191
Li 0.415 0.110 0.309
Li 0.719 0.496 0.822
Li 0.219 0.504 0.678
Fe 0.525 0.846 0.897
Fe 0.963 0.638 0.106
Fe 0.463 0.362 0.394
Fe 0.025 0.154 0.603
Fe 0.975 0.846 0.397
Fe 0.537 0.638 0.606
Fe 0.037 0.362 0.894
Fe 0.475 0.154 0.103
P 0.620 0.764 0.348
P 0.891 0.466 0.648
P 0.751 0.049 0.992
P 0.249 0.951 0.008
P 0.109 0.534 0.352
P 0.380 0.236 0.652
P 0.609 0.466 0.148
P 0.880 0.764 0.848
P 0.251 0.951 0.508
P 0.120 0.236 0.152
P 0.391 0.534 0.852
P 0.749 0.049 0.492
O 0.323 0.750 0.564
O 0.493 0.380 0.247
O 0.704 0.792 0.831
O 0.862 0.013 0.583
O 0.079 0.375 0.186
O 0.167 0.959 0.598
O 0.390 0.656 0.897
O 0.373 0.109 0.443
O 0.627 0.891 0.557
O 0.610 0.344 0.103
O 0.833 0.041 0.402
O 0.921 0.625 0.814
O 0.138 0.987 0.417
O 0.296 0.208 0.169
O 0.507 0.620 0.753
O 0.084 0.332 0.029
O 0.231 0.516 0.812
O 0.916 0.668 0.971
O 0.029 0.048 0.225
O 0.453 0.327 0.938
O 0.953 0.673 0.562
O 0.529 0.952 0.275
O 0.823 0.250 0.936
O 0.731 0.484 0.688
O 0.584 0.668 0.471
O 0.796 0.792 0.331
O 0.007 0.380 0.747
O 0.638 0.013 0.083
O 0.421 0.375 0.686
O 0.333 0.959 0.098
O 0.110 0.656 0.397
O 0.127 0.109 0.943
O 0.873 0.891 0.057
O 0.890 0.344 0.603
O 0.667 0.041 0.902
O 0.579 0.625 0.314
O 0.362 0.987 0.917
O 0.993 0.620 0.253
O 0.204 0.208 0.669
O 0.416 0.332 0.529
O 0.769 0.484 0.188
O 0.177 0.750 0.064
O 0.471 0.048 0.725
O 0.047 0.327 0.438
O 0.547 0.673 0.062
O 0.971 0.952 0.775
O 0.677 0.250 0.436
O 0.269 0.516 0.312



(5)
Computed, not measured: an optimized crystal structure of Li2FeP2O7 at the PBE with a Hubbard U level of DFT.

Summary:
The calculation puts the corrected total energy (MP2020 scheme) at -7.35 eV per atom. The calculation puts the energy above the most stable polymorph in this dataset at 38 meV/atom.

a = 7.008 Å, b = 13.106 Å, c = 6.933 Å
α = 90.00°, β = 89.99°, γ = 89.99°
Sites, in units of the cell vectors:
Li 0.000 0.232 0.000
Li 0.500 0.732 0.500
Li 0.500 0.268 0.000
Li 0.000 0.768 0.500
Li 0.000 0.768 0.000
Li 0.500 0.268 0.500
Li 0.500 0.732 0.000
Li 0.000 0.232 0.500
Fe 0.500 0.500 0.500
Fe 0.500 0.500 0.000
Fe 0.000 0.000 0.000
Fe 0.000 0.000 0.500
P 0.812 0.389 0.750
P 0.312 0.890 0.250
P 0.188 0.390 0.250
P 0.688 0.890 0.750
P 0.812 0.610 0.750
P 0.312 0.111 0.250
P 0.188 0.610 0.250
P 0.688 0.110 0.750
O 0.919 0.500 0.750
O 0.419 0.000 0.250
O 0.081 0.500 0.250
O 0.581 0.000 0.750
O 0.036 0.308 0.250
O 0.536 0.808 0.750
O 0.964 0.308 0.750
O 0.465 0.808 0.250
O 0.036 0.692 0.250
O 0.536 0.192 0.750
O 0.964 0.692 0.750
O 0.464 0.192 0.250
O 0.185 0.113 0.066
O 0.685 0.613 0.567
O 0.815 0.113 0.934
O 0.315 0.613 0.433
O 0.685 0.387 0.934
O 0.185 0.887 0.433
O 0.315 0.387 0.066
O 0.815 0.887 0.567
O 0.315 0.613 0.067
O 0.815 0.113 0.567
O 0.685 0.613 0.933
O 0.185 0.113 0.433
O 0.185 0.887 0.067
O 0.685 0.387 0.567
O 0.815 0.887 0.934
O 0.315 0.387 0.433



(6)
Computed, not measured: an optimized crystal structure of LiFe3P3O11 at the PBE with a Hubbard U level of DFT.

Summary:
The calculation puts the corrected total energy (MP2020 scheme) at -7.37 eV per atom. The calculation puts the energy above the most stable polymorph in this dataset at 449 meV/atom. The symmetry is No. 14.

a = 9.078 Å, b = 8.041 Å, c = 11.472 Å
α = 82.74°, β = 90.00°, γ = 90.00°
Sites, in units of the cell vectors:
Li 0.731 0.879 0.468
Li 0.769 0.879 0.968
Li 0.231 0.121 0.032
Li 0.269 0.121 0.532
Fe 0.367 0.932 0.760
Fe 0.133 0.932 0.260
Fe 0.357 0.547 0.928
Fe 0.377 0.577 0.650
Fe 0.143 0.547 0.428
Fe 0.877 0.423 0.850
Fe 0.123 0.577 0.150
Fe 0.857 0.453 0.572
Fe 0.623 0.423 0.350
Fe 0.643 0.453 0.072
Fe 0.867 0.068 0.740
Fe 0.633 0.068 0.240
P 0.069 0.788 0.896
P 0.063 0.778 0.645
P 0.431 0.788 0.396
P 0.671 0.680 0.798
P 0.437 0.778 0.145
P 0.829 0.680 0.298
P 0.171 0.320 0.702
P 0.563 0.222 0.855
P 0.329 0.320 0.202
P 0.569 0.212 0.604
P 0.937 0.222 0.355
P 0.931 0.212 0.104
O 0.992 0.958 0.882
O 0.977 0.940 0.619
O 0.508 0.958 0.382
O 0.716 0.864 0.782
O 0.240 0.793 0.892
O 0.523 0.940 0.119
O 0.784 0.864 0.282
O 0.232 0.798 0.644
O 0.260 0.793 0.392
O 0.496 0.674 0.788
O 0.020 0.695 0.782
O 0.268 0.798 0.144
O 0.486 0.677 0.505
O 0.727 0.602 0.922
O 0.017 0.648 0.566
O 0.004 0.674 0.288
O 0.480 0.695 0.282
O 0.742 0.567 0.712
O 0.014 0.677 0.005
O 0.773 0.602 0.422
O 0.483 0.648 0.066
O 0.758 0.567 0.212
O 0.242 0.433 0.788
O 0.517 0.352 0.934
O 0.227 0.398 0.578
O 0.986 0.323 0.995
O 0.258 0.433 0.288
O 0.520 0.305 0.718
O 0.996 0.326 0.712
O 0.983 0.352 0.434
O 0.273 0.398 0.078
O 0.514 0.323 0.495
O 0.732 0.202 0.856
O 0.980 0.305 0.218
O 0.504 0.326 0.212
O 0.740 0.207 0.608
O 0.768 0.202 0.356
O 0.216 0.136 0.718
O 0.477 0.060 0.881
O 0.760 0.207 0.108
O 0.284 0.136 0.218
O 0.492 0.042 0.618
O 0.023 0.060 0.381
O 0.008 0.042 0.118



(7)
Computed, not measured: an optimized crystal structure of Li4FeP6O18 at the PBE with a Hubbard U level of DFT.

Summary:
The calculation puts the corrected total energy (MP2020 scheme) at -7.33 eV per atom. The calculation puts the energy above the most stable polymorph in this dataset at 0 meV/atom. The symmetry is No. 1.

a = 7.324 Å, b = 7.554 Å, c = 7.620 Å
α = 106.72°, β = 99.55°, γ = 113.39°
Sites, in units of the cell vectors:
Li 0.240 0.082 0.877
Li 0.623 0.436 0.845
Li 0.475 0.004 0.548
Li 0.370 0.555 0.140
Fe 0.786 0.934 0.147
P 0.986 0.313 0.779
P 0.330 0.678 0.782
P 0.208 0.267 0.500
P 0.776 0.725 0.490
P 0.676 0.324 0.206
P 0.027 0.695 0.238
O 0.120 0.285 0.931
O 0.493 0.676 0.934
O 0.103 0.559 0.807
O 0.759 0.250 0.752
O 0.368 0.225 0.608
O 0.003 0.202 0.570
O 0.356 0.879 0.768
O 0.821 0.813 0.701
O 0.301 0.520 0.570
O 0.690 0.470 0.416
O 0.120 0.168 0.283
O 0.656 0.122 0.214
O 0.000 0.796 0.443
O 0.638 0.765 0.351
O 0.254 0.763 0.269
O 0.909 0.448 0.195
O 0.516 0.323 0.053
O 0.898 0.724 0.081